The following is a PBE calculation of crystalline Sc4S3N2 at its relaxed geometry, from the Materials Project.

Cell: 12.1228 3.5919 9.1993 Å, 90.00 127.61 90.00°
Space group C2/m (No. 12)
Unique sites:
Sc (0.0621, 0.0000, 0.3491) (multiplicity 4)
Sc (0.2339, 0.5000, 0.8506) (multiplicity 4)
S (0.0000, 0.5000, 0.5000) (multiplicity 2)
S (0.1752, 0.5000, 0.2819) (multiplicity 4)
N (0.1401, 0.0000, 0.8657) (multiplicity 4)

Computed properties:
total moment: 0.000 μB/atom
energy above the most stable polymorph in this dataset: 0 meV/atom
total energy: -7.92 eV per atom

---

The following is a PBE calculation of crystalline Sm4S3N2 at its relaxed geometry, from the Materials Project.

Cell: 13.2879 3.9371 10.1639 Å, 90.00 128.71 90.00°
Space group C2/m (No. 12)
Unique sites:
Sm (0.0634, 0.0000, 0.3558) (multiplicity 4)
Sm (0.2434, 0.5000, 0.8522) (multiplicity 4)
S (0.0000, 0.5000, 0.5000) (multiplicity 2)
S (0.1702, 0.5000, 0.2819) (multiplicity 4)
N (0.1458, 0.0000, 0.8606) (multiplicity 4)

Computed properties:
total energy: -7.20 eV per atom

---

The following is a PBE calculation of crystalline Sr7SN6 at its relaxed geometry, from the Materials Project.

Cell: 11.8979 6.8002 13.4331 Å, 90.00 90.00 90.00°
Space group Pbcn (No. 60)
Unique sites:
Sr (0.0000, 0.0461, 0.2500) (multiplicity 4)
Sr (0.0376, 0.2386, 0.5138) (multiplicity 8)
Sr (0.2134, 0.3666, 0.1379) (multiplicity 8)
Sr (0.2146, 0.3537, 0.8796) (multiplicity 8)
S (0.0000, 0.4456, 0.7500) (multiplicity 4)
N (0.0416, 0.4156, 0.3421) (multiplicity 8)
N (0.1011, 0.3087, 0.7084) (multiplicity 8)
N (0.1641, 0.0740, 0.0051) (multiplicity 8)

Computed properties:
total moment: 0.072 μB/atom
total energy: -5.15 eV per atom

---

The following is a PBE calculation of crystalline TaS2N at its relaxed geometry, from the Materials Project.

Cell: 3.3544 3.3544 17.4753 Å, 90.00 90.00 120.00°
Space group P6_3mc (No. 186)
Unique sites:
Ta (0.0000, 0.0000, 0.0000) (multiplicity 2)
S (0.3333, 0.6667, 0.0901) (multiplicity 2)
S (0.3333, 0.6667, 0.9106) (multiplicity 2)
N (0.3333, 0.6667, 0.7494) (multiplicity 2)

Computed properties:
total moment: 0.697 μB/atom
total energy: -6.59 eV per atom

---

The following is a PBE calculation of crystalline TaS2N at its relaxed geometry, from the Materials Project.

Cell: 3.3511 3.3511 17.6402 Å, 90.00 90.00 120.00°
Space group P6_3mc (No. 186)
Unique sites:
Ta (0.3333, 0.6667, 0.0000) (multiplicity 2)
S (0.0000, 0.0000, 0.0884) (multiplicity 2)
S (0.0000, 0.0000, 0.4116) (multiplicity 2)
N (0.3333, 0.6667, 0.7500) (multiplicity 2)

Computed properties:
total moment: 0.736 μB/atom
total energy: -6.60 eV per atom

---

The following is a PBE calculation of crystalline Tb3S3N at its relaxed geometry, from the Materials Project.

Cell: 12.0122 3.8513 12.9767 Å, 90.00 90.00 90.00°
Space group Pnma (No. 62)
Unique sites:
Tb (0.0483, 0.2500, 0.1425) (multiplicity 4)
Tb (0.0654, 0.2500, 0.6325) (multiplicity 4)
Tb (0.2114, 0.2500, 0.8596) (multiplicity 4)
S (0.0938, 0.2500, 0.4003) (multiplicity 4)
S (0.1331, 0.7500, 0.9904) (multiplicity 4)
S (0.2237, 0.7500, 0.6921) (multiplicity 4)
N (0.0342, 0.2500, 0.7986) (multiplicity 4)

Computed properties:
total energy: -6.93 eV per atom